Below is crystalline Ce4Ni3Bi8 at its relaxed geometry, with properties calculated at the PBE level.

Cell: 4.588 4.588 19.166 Å, 90.00 90.00 90.00°
Space group P-4m2 (No. 115)
Symmetry-distinct sites (fractional):
Ce1 0.000 0.500 0.111 x2
Ce2 0.000 0.500 0.613 x2
Ni1 0.000 0.000 0.500 x1
Ni2 0.500 0.500 0.000 x1
Ni3 0.500 0.500 0.500 x1
Bi1 0.000 0.000 0.249 x2
Bi2 0.000 0.500 0.425 x2
Bi3 0.000 0.500 0.929 x2
Bi4 0.500 0.500 0.250 x2

Computed properties:
Electronic total energy: -5.328 eV/atom
ΔE_f: -0.515 eV/atom

Below is crystalline CeBi2SeO4 at its relaxed geometry, with properties calculated at the PBE level.

Cell: 3.900 3.900 8.958 Å, 90.00 90.00 90.00°
Space group P4/mmm (No. 123)
Symmetry-distinct sites (fractional):
Ce1 0.000 0.000 0.000 x1
Bi1 0.500 0.500 0.295 x2
Se1 0.000 0.000 0.500 x1
O1 0.000 0.500 0.153 x4

Computed properties:
Electronic total energy: -6.521 eV/atom
ΔE_f: -2.240 eV/atom
M_tot: 0.00 Bohr magnetons per cell

Below is crystalline CeBiPd at its relaxed geometry, with properties calculated at the PBE level.

Cell: 6.884 6.884 6.884 Å, 90.00 90.00 90.00°
Space group F-43m (No. 216)
Symmetry-distinct sites (fractional):
Ce1 0.000 0.000 0.000 x4
Bi1 0.000 0.000 0.500 x4
Pd1 0.250 0.250 0.250 x4

Computed properties:
Electronic total energy: -5.851 eV/atom
ΔE_f: -0.850 eV/atom

Below is crystalline Ce3Bi4Pd3 at its relaxed geometry, with properties calculated at the PBE level.

Cell: 10.083 10.083 10.083 Å, 90.00 90.00 90.00°
Space group I-43d (No. 220)
Symmetry-distinct sites (fractional):
Ce1 0.000 0.250 0.375 x12
Bi1 0.085 0.085 0.085 x16
Pd1 0.000 0.250 0.875 x12

Computed properties:
Electronic total energy: -5.683 eV/atom
ΔE_f: -0.793 eV/atom

Below is crystalline Ce2Bi5Rh3 at its relaxed geometry, with properties calculated at the PBE level.

Cell: 4.665 27.385 7.577 Å, 90.00 90.00 90.00°
Space group Cmc2_1 (No. 36)
Symmetry-distinct sites (fractional):
Ce1 0.000 0.026 0.000 x4
Ce2 0.000 0.329 0.034 x4
Bi1 0.000 0.096 0.375 x4
Bi2 0.000 0.205 0.821 x4
Bi3 0.000 0.211 0.250 x4
Bi4 0.000 0.379 0.508 x4
Bi5 0.000 0.453 0.168 x4
Rh1 0.000 0.103 0.752 x4
Rh2 0.000 0.276 0.540 x4
Rh3 0.000 0.450 0.785 x4

Computed properties:
Electronic total energy: -5.794 eV/atom
ΔE_f: -0.453 eV/atom
M_tot: 0.03 Bohr magnetons per cell

Below is crystalline CeBiRh at its relaxed geometry, with properties calculated at the PBE level.

Cell: 7.456 4.819 7.925 Å, 90.00 90.00 90.00°
Space group Pnma (No. 62)
Symmetry-distinct sites (fractional):
Ce1 0.016 0.250 0.192 x4
Bi1 0.174 0.250 0.593 x4
Rh1 0.239 0.750 0.432 x4

Computed properties:
Electronic total energy: -6.456 eV/atom
ΔE_f: -0.727 eV/atom

Below is crystalline Ce5BiSb4 at its relaxed geometry, with properties calculated at the PBE level.

Cell: 4.5335 4.5335 55.4574 Å, 90.00 90.00 120.00°
Space group R-3m (No. 166, hexagonal axes)
Symmetry-distinct sites (fractional):
Ce1 0.0000 0.0000 0.0000 x3
Ce2 0.0000 0.0000 0.2019 x6
Ce3 0.0000 0.0000 0.3996 x6
Bi1 0.0000 0.0000 0.5000 x3
Sb1 0.0000 0.0000 0.0995 x6
Sb2 0.0000 0.0000 0.3000 x6

Computed properties:
Electronic total energy: -6.022 eV/atom
ΔE_f: -1.092 eV/atom
M_tot: 12.50 Bohr magnetons per cell

Below is crystalline BiCl3 at its relaxed geometry, with properties calculated at the PBE level.

Cell: 8.373 8.815 6.788 Å, 90.00 90.00 90.00°
Space group Pnma (No. 62)
Symmetry-distinct sites (fractional):
Bi1 0.045 0.250 0.012 x4
Cl1 0.071 0.750 0.650 x4
Cl2 0.163 0.560 0.133 x8

Computed properties:
Electronic total energy: -3.290 eV/atom
ΔE_f: -1.392 eV/atom

Below is crystalline Bi6Cl7 at its relaxed geometry, with properties calculated at the PBE level.

Cell: 15.421 23.428 8.871 Å, 90.00 90.00 90.00°
Space group Pnnm (No. 58)
Symmetry-distinct sites (fractional):
Bi1 0.047 0.087 0.000 x4
Bi2 0.067 0.897 0.500 x4
Bi3 0.097 0.589 0.500 x4
Bi4 0.109 0.432 0.000 x4
Bi5 0.154 0.347 0.263 x8
Bi6 0.161 0.800 0.316 x8
Bi7 0.171 0.259 0.000 x4
Bi8 0.184 0.643 0.000 x4
Bi9 0.217 0.950 0.312 x8
Cl1 0.000 0.000 0.216 x4
Cl2 0.012 0.687 0.500 x4
Cl3 0.049 0.710 0.000 x4
Cl4 0.057 0.164 0.215 x8
Cl5 0.075 0.448 0.500 x4
Cl6 0.082 0.559 0.194 x8
Cl7 0.124 0.891 0.000 x4
Cl8 0.177 0.061 0.500 x4
Cl9 0.207 0.664 0.307 x8
Cl10 0.218 0.236 0.500 x4
Cl11 0.220 0.037 0.000 x4

Computed properties:
Electronic total energy: -3.458 eV/atom
ΔE_f: -0.998 eV/atom
M_tot: 0.10 Bohr magnetons per cell

Below is crystalline Cs2HgBiCl6 at its relaxed geometry, with properties calculated at the PBE level.

Cell: 11.253 11.253 11.253 Å, 90.00 90.00 90.00°
Space group Fm-3m (No. 225)
Symmetry-distinct sites (fractional):
Cs1 0.250 0.250 0.250 x8
Hg1 0.000 0.000 0.000 x4
Bi1 0.000 0.000 0.500 x4
Cl1 0.000 0.000 0.258 x24

Computed properties:
Electronic total energy: -2.986 eV/atom
ΔE_f: -1.647 eV/atom
M_tot: 0.00 Bohr magnetons per cell

Below is crystalline Cs2LiBiCl6 at its relaxed geometry, with properties calculated at the PBE level.

Cell: 10.756 10.756 10.756 Å, 90.00 90.00 90.00°
Space group Fm-3m (No. 225)
Symmetry-distinct sites (fractional):
Cs1 0.250 0.250 0.250 x8
Li1 0.000 0.000 0.000 x4
Bi1 0.000 0.000 0.500 x4
Cl1 0.000 0.000 0.246 x24

Computed properties:
Electronic total energy: -3.465 eV/atom
ΔE_f: -1.965 eV/atom
M_tot: 0.00 Bohr magnetons per cell

Below is crystalline Cs2RbBiCl6 at its relaxed geometry, with properties calculated at the PBE level.

Cell: 11.714 11.714 11.714 Å, 90.00 90.00 90.00°
Space group Fm-3m (No. 225)
Symmetry-distinct sites (fractional):
Cs1 0.250 0.250 0.250 x8
Rb1 0.000 0.000 0.000 x4
Bi1 0.000 0.000 0.500 x4
Cl1 0.000 0.000 0.268 x24

Computed properties:
Electronic total energy: -3.385 eV/atom
ΔE_f: -1.978 eV/atom
M_tot: 0.01 Bohr magnetons per cell

Below is crystalline Cs4BiSbCl12 at its relaxed geometry, with properties calculated at the PBE level.

Cell: 7.766 7.766 10.724 Å, 90.00 90.00 90.00°
Space group P4/mmm (No. 123)
Symmetry-distinct sites (fractional):
Cs1 0.000 0.500 0.221 x4
Bi1 0.000 0.000 0.000 x1
Sb1 0.500 0.500 0.500 x1
Cl1 0.000 0.000 0.254 x2
Cl2 0.248 0.248 0.000 x4
Cl3 0.280 0.280 0.500 x4
Cl4 0.500 0.500 0.274 x2

Computed properties:
Electronic total energy: -3.276 eV/atom
ΔE_f: -1.809 eV/atom
M_tot: 0.01 Bohr magnetons per cell

Below is crystalline Cs4BiSbCl12 at its relaxed geometry, with properties calculated at the PBE level.

Cell: 10.844 10.844 21.780 Å, 90.00 90.00 90.00°
Space group I4_1/amd (No. 141, origin choice 2)
Symmetry-distinct sites (fractional):
Cs1 0.220 0.000 0.000 x16
Bi1 0.000 0.250 0.875 x4
Sb1 0.000 0.250 0.375 x4
Cl1 0.000 0.002 0.130 x16
Cl2 0.000 0.027 0.375 x16
Cl3 0.000 0.250 0.000 x8
Cl4 0.000 0.250 0.264 x8

Computed properties:
Electronic total energy: -3.278 eV/atom
ΔE_f: -1.810 eV/atom
M_tot: 0.00 Bohr magnetons per cell

Below is crystalline Cs2TlBiCl6 at its relaxed geometry, with properties calculated at the PBE level.

Cell: 11.582 11.582 11.582 Å, 90.00 90.00 90.00°
Space group Fm-3m (No. 225)
Symmetry-distinct sites (fractional):
Cs1 0.250 0.250 0.250 x8
Tl1 0.000 0.000 0.000 x4
Bi1 0.000 0.000 0.500 x4
Cl1 0.000 0.000 0.265 x24

Computed properties:
Electronic total energy: -3.350 eV/atom
ΔE_f: -1.805 eV/atom
M_tot: 0.00 Bohr magnetons per cell